# Lu2Sb2O7

A relaxed Lu2Sb2O7 crystal (GGA-PBE, Materials Project).

a = 7.5003 Å, b = 7.5003 Å, c = 18.2816 Å
α = 90.00°, β = 90.00°, γ = 120.00°
Space group P3_121 (No. 152)
One atom of each set of equivalent atoms:
Lu  0.0000  0.8322  0.1667
Lu  0.0000  0.8487  0.6667
Lu  0.1753  0.6816  0.0110
Sb  0.0000  0.3143  0.6667
Sb  0.0000  0.3242  0.1667
Sb  0.1705  0.6715  0.5020
O  0.0089  0.3327  0.2917
O  0.0204  0.8225  0.5329
O  0.0249  0.8534  0.2835
O  0.0555  0.4511  0.8042
O  0.1017  0.6588  0.3947
O  0.1987  0.6829  0.1378
O  0.2440  0.6874  0.6070

Values from the calculation:
size of the total moment	0.0000	μB per atom
energy of formation from the pure elements	-2.84	eV per atom
energy above the lowest structure with this stoichiometry	0.00	eV/f.u.



# Lu3Sb5O12

A relaxed Lu3Sb5O12 crystal (GGA-PBE, Materials Project).

a = 10.769 Å, b = 10.769 Å, c = 10.769 Å
α = 90.00°, β = 90.00°, γ = 90.00°
Space group I-43m (No. 217)
One atom of each set of equivalent atoms:
Lu  0.000  0.250  0.500
Sb  0.000  0.000  0.285
Sb  0.240  0.240  0.240
O  0.099  0.398  0.602
O  0.140  0.140  0.656

Values from the calculation:
energy of formation from the pure elements	-2.68	eV per atom



# Lu3SbO7

A relaxed Lu3SbO7 crystal (GGA-PBE, Materials Project).

a = 7.391 Å, b = 10.373 Å, c = 7.373 Å
α = 90.00°, β = 90.00°, γ = 90.00°
Space group C222_1 (No. 20)
One atom of each set of equivalent atoms:
Lu  0.016  0.000  0.000
Lu  0.234  0.265  0.751
Sb  0.001  0.500  0.500
O  0.000  0.129  0.250
O  0.000  0.140  0.750
O  0.000  0.424  0.750
O  0.192  0.371  0.035
O  0.205  0.376  0.471

Values from the calculation:
energy of formation from the pure elements	-3.47	eV per atom



# Lu2Sb2O7

A relaxed Lu2Sb2O7 crystal (GGA-PBE, Materials Project).

a = 10.499 Å, b = 7.525 Å, c = 7.626 Å
α = 90.00°, β = 90.00°, γ = 90.00°
Space group Ima2 (No. 46)
One atom of each set of equivalent atoms:
Lu  0.000  0.000  0.000
Lu  0.250  0.208  0.247
Sb  0.000  0.000  0.522
Sb  0.250  0.741  0.745
O  0.113  0.572  0.251
O  0.118  0.245  0.004
O  0.127  0.539  0.738
O  0.250  0.737  0.494

Values from the calculation:
size of the total moment	0.0000	μB per atom
energy of formation from the pure elements	-2.79	eV per atom
maximum piezoelectric response	1.29	C/m2
energy above the lowest structure with this stoichiometry	0.59	eV/f.u.



# LuScO3

A relaxed LuScO3 crystal (GGA-PBE, Materials Project).

a = 5.690 Å, b = 7.942 Å, c = 5.379 Å
α = 90.00°, β = 90.00°, γ = 90.00°
Space group Pnma (No. 62)
One atom of each set of equivalent atoms:
Lu  0.064  0.250  0.019
Sc  0.000  0.000  0.500
O  0.065  0.750  0.361
O  0.187  0.572  0.816

Values from the calculation:
size of the total moment	0.0000	μB per atom
energy of formation from the pure elements	-3.98	eV per atom



# LuScO3

A relaxed LuScO3 crystal (GGA-PBE, Materials Project).

a = 6.1090 Å, b = 6.1090 Å, c = 12.1143 Å
α = 90.00°, β = 90.00°, γ = 120.00°
Space group P6_3cm (No. 185)
One atom of each set of equivalent atoms:
Lu  0.0000  0.0000  0.0000
Lu  0.3333  0.6667  0.4618
Sc  0.0000  0.3334  0.2279
O  0.0000  0.0000  0.1991
O  0.0000  0.3063  0.3982
O  0.0000  0.3613  0.0593
O  0.3333  0.6667  0.2509

Values from the calculation:
size of the total moment	0.0000	μB per atom
energy of formation from the pure elements	-4.01	eV per atom



# LuSeO3

A relaxed LuSeO3 crystal (GGA-PBE, Materials Project).

a = 5.857 Å, b = 12.428 Å, c = 8.658 Å
α = 90.00°, β = 105.81°, γ = 90.00°
Space group P2_1/c (No. 14)
One atom of each set of equivalent atoms:
Lu  0.136  0.246  0.144
Lu  0.258  0.559  0.085
Se  0.129  0.515  0.673
Se  0.453  0.661  0.496
O  0.050  0.595  0.284
O  0.097  0.093  0.581
O  0.246  0.739  0.997
O  0.279  0.229  0.913
O  0.372  0.518  0.854
O  0.490  0.672  0.305

Values from the calculation:
size of the total moment	0.0000	μB per atom
energy of formation from the pure elements	-2.54	eV per atom



# Lu2SeO2

A relaxed Lu2SeO2 crystal (GGA-PBE, Materials Project).

a = 3.7520 Å, b = 3.7520 Å, c = 6.7105 Å
α = 90.00°, β = 90.00°, γ = 120.00°
Space group P-3m1 (No. 164)
One atom of each set of equivalent atoms:
Lu  0.3333  0.6667  0.2928
Se  0.0000  0.0000  0.0000
O  0.3333  0.6667  0.6251

Values from the calculation:
energy of formation from the pure elements	-3.43	eV per atom



# Lu2SiO5

A relaxed Lu2SiO5 crystal (GGA-PBE, Materials Project).

a = 9.120 Å, b = 6.611 Å, c = 6.682 Å
α = 90.00°, β = 100.33°, γ = 90.00°
Space group P2_1/c (No. 14)
One atom of each set of equivalent atoms:
Lu  0.037  0.117  0.224
Lu  0.351  0.142  0.989
Si  0.297  0.598  0.986
O  0.106  0.123  0.921
O  0.115  0.649  0.958
O  0.291  0.061  0.289
O  0.348  0.065  0.669
O  0.402  0.701  0.495

Values from the calculation:
size of the total moment	0.0000	μB per atom
energy of formation from the pure elements	-3.84	eV per atom
energy above the lowest structure with this stoichiometry	0.19	eV/f.u.



# Lu2Si2O7

A relaxed Lu2Si2O7 crystal (GGA-PBE, Materials Project).

a = 6.768 Å, b = 8.870 Å, c = 4.763 Å
α = 90.00°, β = 102.24°, γ = 90.00°
Space group C2/m (No. 12)
One atom of each set of equivalent atoms:
Lu  0.000  0.191  0.000
Si  0.221  0.500  0.410
O  0.000  0.500  0.500
O  0.114  0.000  0.284
O  0.236  0.348  0.217

Values from the calculation:
energy of formation from the pure elements	-3.72	eV per atom



# Lu2SiO5

A relaxed Lu2SiO5 crystal (GGA-PBE, Materials Project).

a = 14.283 Å, b = 6.673 Å, c = 10.288 Å
α = 90.00°, β = 121.99°, γ = 90.00°
Space group C2/c (No. 15)
One atom of each set of equivalent atoms:
Lu  0.038  0.243  0.471
Lu  0.141  0.118  0.839
Si  0.183  0.408  0.306
O  0.016  0.095  0.896
O  0.088  0.486  0.134
O  0.122  0.212  0.331
O  0.201  0.151  0.679
O  0.203  0.423  0.934

Values from the calculation:
energy of formation from the pure elements	-3.86	eV per atom
energy above the lowest structure with this stoichiometry	0.00	eV/f.u.



# Lu2Sn2O7

A relaxed Lu2Sn2O7 crystal (GGA-PBE, Materials Project).

a = 10.373 Å, b = 10.373 Å, c = 10.373 Å
α = 90.00°, β = 90.00°, γ = 90.00°
Space group Fd-3m (No. 227, origin choice 2)
One atom of each set of equivalent atoms:
Lu  0.000  0.000  0.000
Sn  0.000  0.000  0.500
O  0.093  0.375  0.875
O  0.125  0.125  0.125

Values from the calculation:
energy of formation from the pure elements	-3.03	eV per atom



no.,VASP energy (eV per cell)
1,-470.24
2,-556.05
3,-342.75
4,-311.14
5,-174.20
6,-262.01
7,-268.15
8,-38.19
9,-265.97
10,-181.37
11,-533.45
12,-641.38